1) Here is BaSrEuWO6 after structural relaxation from Materials Project. Energies are from PBE with a Hubbard U.

## Properties
Its total magnetization is 14.0 μB/cell.

```
20
Lattice="6.032 0.000 0.000 -0.047 6.127 0.000 -0.110 -0.203 8.584" Properties=species:S:1:pos:R:3 pbc="T T T"
Ba 0.015 0.196 2.159
Ba 5.861 5.728 6.425
Sr -0.078 2.962 4.292
Sr 3.016 0.000 0.000
Eu 2.896 3.322 2.176
Eu 2.980 2.602 6.409
W -0.023 3.063 0.000
W 2.961 -0.101 4.292
O 0.535 2.983 6.721
O 1.031 4.663 0.430
O 1.344 4.906 3.942
O 1.559 1.986 0.484
O 1.959 1.559 3.847
O 2.475 0.143 6.185
O 3.401 5.782 2.399
O 3.917 4.366 4.738
O 4.316 3.939 8.101
O 4.532 1.018 4.643
O 4.845 1.261 8.154
O 5.341 2.941 1.864
```

***

2) Here is BaSrEuWO6 after structural relaxation from Materials Project. Energies are from PBE with a Hubbard U.

## Properties
Its total magnetization is 27.9 μB/cell.

```
40
Lattice="8.551 0.000 0.000 0.000 8.556 0.000 0.000 0.000 8.585" Properties=species:S:1:pos:R:3 pbc="T T T"
Ba 0.000 0.000 0.000
Ba 0.000 0.000 4.292
Ba 0.000 4.278 0.000
Ba 4.276 4.278 4.292
Sr 0.000 4.278 4.292
Sr 4.276 0.000 0.000
Sr 4.276 0.000 4.292
Sr 4.276 4.278 0.000
Eu 2.162 2.150 6.437
Eu 2.162 6.406 2.147
Eu 6.389 2.150 2.147
Eu 6.389 6.406 6.437
W 2.176 2.130 2.150
W 2.176 6.426 6.435
W 6.375 2.130 6.435
W 6.375 6.426 2.150
O 0.222 2.324 1.904
O 0.222 6.232 6.681
O 1.864 2.498 4.066
O 1.864 6.058 4.519
O 1.928 0.193 2.359
O 1.928 8.363 6.226
O 2.450 1.834 0.213
O 2.450 6.721 8.372
O 2.501 4.052 1.827
O 2.501 4.504 6.758
O 4.080 1.843 2.533
O 4.080 6.713 6.052
O 4.471 1.843 6.052
O 4.471 6.713 2.533
O 6.050 4.052 6.758
O 6.050 4.504 1.827
O 6.101 1.834 8.372
O 6.101 6.721 0.213
O 6.623 0.193 6.226
O 6.623 8.363 2.359
O 6.687 2.498 4.519
O 6.687 6.058 4.066
O 8.329 2.324 6.681
O 8.329 6.232 1.904
```

***

3) Here is BaSrEuWO6 after structural relaxation from Materials Project. Energies are from PBE with a Hubbard U.

## Properties
Its total magnetization is 0.0 μB/cell.

```
20
Lattice="6.040 0.000 0.000 -0.018 6.103 0.000 -0.065 -0.065 8.580" Properties=species:S:1:pos:R:3 pbc="T T T"
Ba 0.005 0.161 2.147
Ba 5.952 5.877 6.433
Sr 2.943 3.286 2.150
Sr 3.014 2.752 6.429
Eu -0.042 3.019 4.290
Eu 3.020 0.000 0.000
W -0.009 3.051 0.000
W 2.988 -0.032 4.290
O 0.455 3.050 6.664
O 1.124 4.634 0.365
O 1.385 4.915 4.050
O 1.558 1.889 0.384
O 1.883 1.575 3.900
O 2.581 0.182 6.218
O 3.376 5.856 2.362
O 4.074 4.463 4.679
O 4.399 4.149 8.195
O 4.571 1.123 4.530
O 4.832 1.404 8.215
O 5.502 2.989 1.915
```

***

Most stable of them? 2).

***

1) Here is BaSrEuWO6 after structural relaxation from Materials Project. Energies are from PBE with a Hubbard U.

## Properties
Its total magnetization is 14.0 μB/cell.

```
20
Lattice="6.001 0.000 0.000 0.000 6.001 0.000 0.000 0.000 8.752" Properties=species:S:1:pos:R:3 pbc="T T T"
Ba 0.000 3.000 2.188
Ba 3.000 0.000 6.564
Sr 0.000 3.000 6.564
Sr 3.000 0.000 2.188
Eu 0.000 0.000 0.000
Eu 3.000 3.000 4.376
W 0.000 0.000 4.376
W 3.000 3.000 0.000
O 0.000 0.000 2.384
O 0.000 0.000 6.368
O 0.974 1.715 4.479
O 1.285 2.026 8.649
O 1.715 5.026 4.273
O 2.026 4.715 0.103
O 3.000 3.000 1.992
O 3.000 3.000 6.760
O 3.974 1.285 0.103
O 4.286 0.974 4.273
O 4.715 3.974 8.649
O 5.026 4.286 4.479
```

***

2) Here is BaSrEuWO6 after structural relaxation from Materials Project. Energies are from PBE with a Hubbard U.

## Properties
Its total magnetization is 7.0 μB/cell.

```
10
Lattice="0.000 4.331 4.331 4.331 0.000 4.331 4.331 4.331 0.000" Properties=species:S:1:pos:R:3 pbc="T T T"
Ba 0.000 0.000 0.000
Sr 2.165 2.165 2.165
Eu 4.331 4.331 4.331
W 6.496 6.496 6.496
O 6.496 6.496 4.545
O 6.496 4.545 6.496
O 8.447 6.496 6.496
O 4.545 6.496 6.496
O 6.496 8.447 6.496
O 6.496 6.496 8.447
```

***

3) Here is BaSrEuWO6 after structural relaxation from Materials Project. Energies are from PBE with a Hubbard U.

## Properties
Its total magnetization is 14.0 μB/cell.

```
20
Lattice="6.016 0.000 0.000 0.000 6.016 0.000 0.000 0.000 8.781" Properties=species:S:1:pos:R:3 pbc="T T T"
Ba 0.000 0.000 0.000
Ba 3.008 3.008 0.000
Sr 0.000 3.008 2.198
Sr 3.008 0.000 6.583
Eu 0.000 0.000 4.390
Eu 3.008 3.008 4.390
W 0.000 3.008 6.497
W 3.008 0.000 2.284
O 0.000 3.008 4.551
O 0.000 3.008 8.495
O 0.898 4.752 6.478
O 1.265 5.119 2.303
O 1.743 2.110 6.478
O 2.110 1.743 2.303
O 3.008 0.000 0.286
O 3.008 0.000 4.230
O 3.906 4.273 2.303
O 4.273 3.906 6.478
O 4.752 0.898 2.303
O 5.119 1.265 6.478
```

***

Most stable of them? 1).

***

1) Here is BaSrEuWO6 after structural relaxation from Materials Project. Energies are from PBE with a Hubbard U.

## Properties
Its total magnetization is 7.0 μB/cell.

```
10
Lattice="0.000 4.352 4.352 4.352 0.000 4.352 4.352 4.352 0.000" Properties=species:S:1:pos:R:3 pbc="T T T"
Ba 0.000 0.000 0.000
Sr 4.352 4.352 4.352
Eu 2.176 2.176 2.176
W 6.528 6.528 6.528
O 6.528 6.528 4.548
O 6.528 4.548 6.528
O 8.507 6.528 6.528
O 4.548 6.528 6.528
O 6.528 8.507 6.528
O 6.528 6.528 8.507
```

***

2) Here is BaSrEuWO6 after structural relaxation from Materials Project. Energies are from PBE with a Hubbard U.

## Properties
Its total magnetization is 28.0 μB/cell.

```
40
Lattice="8.573 0.000 0.000 0.000 8.632 0.000 0.000 0.000 8.644" Properties=species:S:1:pos:R:3 pbc="T T T"
Ba 2.143 2.158 2.161
Ba 2.143 6.474 2.161
Ba 6.430 2.158 6.483
Ba 6.430 6.474 6.483
Sr 0.000 0.000 0.000
Sr 0.000 4.316 4.322
Sr 4.286 0.000 4.322
Sr 4.286 4.316 0.000
Eu 2.143 2.158 6.483
Eu 2.143 6.474 6.483
Eu 6.430 2.158 2.161
Eu 6.430 6.474 2.161
W 0.000 0.000 4.322
W 0.000 4.316 0.000
W 4.286 0.000 0.000
W 4.286 4.316 4.322
O 0.333 0.431 6.226
O 0.333 3.885 6.740
O 0.398 6.218 8.275
O 0.398 6.730 4.692
O 1.906 0.274 3.976
O 1.906 4.042 0.346
O 2.380 0.274 0.346
O 2.380 4.042 3.976
O 3.888 6.218 4.692
O 3.888 6.730 8.275
O 3.954 0.431 6.740
O 3.954 3.885 6.226
O 4.619 4.747 2.418
O 4.619 8.200 1.904
O 4.685 1.902 0.369
O 4.685 2.414 3.953
O 6.193 4.590 4.668
O 6.193 8.358 8.298
O 6.667 4.590 8.298
O 6.667 8.358 4.668
O 8.175 1.902 3.953
O 8.175 2.414 0.369
O 8.240 4.747 1.904
O 8.240 8.200 2.418
```

***

Most stable of them? 2).

***

1) Here is BaFeF5 after structural relaxation from Materials Project. Energies are from PBE with a Hubbard U.

## Properties
Its total magnetization is 40.0 μB/cell.

```
56
Lattice="-7.621 7.621 3.891 7.621 -7.621 3.891 7.621 7.621 -3.891" Properties=species:S:1:pos:R:3 pbc="T T T"
Ba 11.880 0.797 0.000
Ba 0.797 3.361 0.000
Ba 8.657 3.866 0.014
Ba 3.866 6.584 0.014
Ba 3.754 1.036 3.905
Ba -1.036 3.754 3.905
Ba 6.824 4.259 3.891
Ba -4.259 6.824 3.891
Fe 7.621 0.000 0.052
Fe 5.079 2.788 0.004
Fe 0.000 0.000 1.998
Fe 4.833 -2.542 3.895
Fe 0.000 7.621 0.052
Fe 2.788 10.162 0.004
Fe 0.000 0.000 5.858
Fe 2.542 4.833 3.895
F 0.000 0.000 0.038
F 10.856 -1.551 1.340
F 9.287 1.020 0.037
F 6.033 3.857 -1.340
F 6.114 -3.213 2.585
F 6.822 1.777 0.060
F 8.291 5.802 -1.985
F 5.802 6.950 -1.985
F 3.763 -1.587 2.550
F 11.332 3.496 -0.020
F 3.496 3.909 -0.020
F 7.621 0.000 1.997
F 4.386 1.551 1.340
F 1.819 0.671 1.905
F -0.671 1.819 1.905
F 1.020 5.954 0.037
F 6.015 3.932 1.305
F 3.857 9.208 -1.340
F 5.844 -0.798 3.950
F -1.551 4.386 1.340
F 0.000 0.000 3.929
F 9.127 3.213 2.585
F 1.777 8.419 0.060
F 3.689 -1.605 5.196
F 1.587 3.763 2.550
F 6.601 1.667 3.928
F 8.334 5.817 2.065
F 5.817 6.907 2.065
F 3.213 6.114 2.585
F 4.125 3.711 3.871
F 0.000 7.621 1.997
F -3.711 4.125 3.871
F 3.932 9.226 1.305
F 1.803 0.713 5.956
F -0.713 1.803 5.956
F 1.551 10.856 1.340
F 0.798 5.844 3.950
F 1.605 3.689 5.196
F -3.213 9.127 2.585
F -1.667 6.601 3.928
```

***

2) Here is BaFeF5 after structural relaxation from Materials Project. Energies are from PBE with a Hubbard U.

```
56
Lattice="9.693 0.000 0.000 0.000 8.032 0.000 -8.939 0.000 11.547" Properties=species:S:1:pos:R:3 pbc="T T T"
Ba -1.542 1.733 4.107
Ba -6.012 2.283 9.881
Ba -2.221 5.768 6.292
Ba 2.248 6.279 0.518
Ba -1.495 1.753 11.029
Ba 2.975 2.263 5.255
Ba 6.765 5.749 1.666
Ba 2.296 6.299 7.440
Fe -3.100 1.675 7.621
Fe 1.369 2.341 1.847
Fe 0.172 5.574 3.643
Fe -4.297 6.473 9.417
Fe 5.051 1.559 2.130
Fe 0.581 2.457 7.904
Fe -0.616 5.691 9.700
Fe 3.854 6.357 3.927
F -4.996 1.751 7.309
F -0.526 2.265 1.535
F -0.182 5.857 1.763
F -4.651 6.191 7.537
F -1.477 4.491 3.850
F -5.946 7.557 9.624
F -5.482 4.956 9.796
F -1.013 7.092 4.022
F -2.614 0.395 6.260
F 1.855 3.621 0.487
F 1.770 0.913 0.611
F -2.699 3.103 6.385
F -3.358 0.155 8.996
F 1.111 3.861 3.222
F 1.107 1.266 3.433
F -3.362 2.749 9.207
F -2.558 5.586 9.079
F 1.911 6.461 3.306
F 0.497 5.523 5.542
F -3.973 6.525 11.316
F 4.726 1.507 0.232
F 0.257 2.509 6.006
F -1.158 1.570 8.242
F 3.312 2.445 2.468
F 4.116 5.282 2.340
F -0.354 6.765 8.114
F -0.358 4.171 8.325
F 4.112 7.877 2.552
F 3.453 4.929 5.163
F -1.017 7.119 10.937
F -1.102 4.410 11.061
F 3.368 7.637 5.287
F 1.766 0.940 7.525
F 6.236 3.076 1.751
F 6.700 0.475 1.923
F 2.230 3.541 7.697
F 5.405 1.841 4.011
F 0.935 2.175 9.785
F 1.280 5.766 10.012
F 5.750 6.281 4.239
```

***

Most stable of them? 2).

***

1) Here is Ba3MnF12 after structural relaxation from Materials Project. Energies are from PBE with a Hubbard U.

## Properties
Its total magnetization is 7.0 μB/cell.

```
16
Lattice="4.273 -7.649 0.000 4.273 7.649 0.000 -3.294 0.000 5.860" Properties=species:S:1:pos:R:3 pbc="T T T"
Ba 0.000 0.000 0.000
Ba 0.489 3.825 2.930
Ba 0.489 -3.825 2.930
Mn 2.625 0.000 2.930
F 1.699 5.943 4.063
F 2.652 3.984 1.375
F 3.552 5.943 1.797
F 1.956 1.284 1.823
F 2.599 3.984 4.485
F 1.956 -1.284 1.823
F 3.294 1.284 4.037
F 2.652 -3.984 1.375
F 3.294 -1.284 4.037
F 1.699 -5.943 4.063
F 2.599 -3.984 4.485
F 3.552 -5.943 1.797
```

***

2) Here is Ba3MnF12 after structural relaxation from Materials Project. Energies are from PBE with a Hubbard U.

## Properties
Its total magnetization is 1.0 μB/cell.

```
16
Lattice="4.123 -7.050 0.000 4.123 7.050 0.000 -0.312 0.000 6.793" Properties=species:S:1:pos:R:3 pbc="T T T"
Ba 0.000 0.000 0.000
Ba 1.906 3.525 3.396
Ba 1.906 -3.525 3.396
Mn -0.156 0.000 3.396
F 0.661 1.279 4.510
F 1.651 0.997 1.880
F 0.661 -1.279 4.510
F 3.835 3.040 4.896
F 1.651 -0.997 1.880
F 4.101 3.040 1.897
F 3.835 -3.040 4.896
F 6.284 0.997 4.913
F 4.101 -3.040 1.897
F 7.274 1.279 2.283
F 6.284 -0.997 4.913
F 7.274 -1.279 2.283
```

***

Most stable of them? 2).